Li2TiCrP3O12 | PBE with a Hubbard U | optimized geometry

total moment	0.158	μB/atom
calculated formation energy	-2.840	eV/atom

abc: 8.631 8.767 14.709
angles: 90.00 125.54 90.00
Space group P2_1/c (No. 14)
Inequivalent atoms, fractional coordinates:
Li1 0.049 0.217 0.329 [4 per cell]
Li2 0.400 0.220 0.177 [4 per cell]
Ti1 0.137 0.543 0.385 [4 per cell]
Cr1 0.369 0.537 0.118 [4 per cell]
P1 0.042 0.110 0.644 [4 per cell]
P2 0.249 0.613 0.647 [4 per cell]
P3 0.462 0.247 0.497 [4 per cell]
O1 0.023 0.228 0.183 [4 per cell]
O2 0.052 0.512 0.225 [4 per cell]
O3 0.078 0.604 0.655 [4 per cell]
O4 0.128 0.575 0.973 [4 per cell]
O5 0.175 0.580 0.524 [4 per cell]
O6 0.231 0.111 0.656 [4 per cell]
O7 0.279 0.151 0.927 [4 per cell]
O8 0.336 0.727 0.184 [4 per cell]
O9 0.361 0.649 0.429 [4 per cell]
O10 0.397 0.011 0.219 [4 per cell]
O11 0.437 0.156 0.577 [4 per cell]
O12 0.471 0.153 0.414 [4 per cell]